This record from Materials Project describes a relaxed NbAu2 crystal. The functional is meta-GGA r2SCAN.

**Formation energy from the elements**: -0.167 eV per atom

Cell and atoms, written as CIF:
```
data_NbAu2
_symmetry_space_group_name_H-M 'P 6/m m m'
_symmetry_Int_Tables_number 191
_symmetry_space_group_name_Hall '-P 6 2'
_cell_length_a 4.6765
_cell_length_b 4.6765
_cell_length_c 2.7431
_cell_angle_alpha 90.00
_cell_angle_beta 90.00
_cell_angle_gamma 120.00
loop_
_atom_site_label
_atom_site_type_symbol
_atom_site_fract_x
_atom_site_fract_y
_atom_site_fract_z
Nb1 Nb 0.0000 0.0000 0.0000
Au1 Au 0.3333 0.6667 0.5000
```